The following is a DFT calculation (GGA-PBE) of an optimized crystal structure of Nd2CuO4.

The space group is C2/m (No. 12) and the conventional cell measures 5.6355, 5.6435 and 6.5237 Å, with angles of 90.00, 113.06 and 90.00 degrees. The asymmetric unit holds Nd at (0.1553, 0.0000, 0.2990), Cu at (0.0000, 0.5000, 0.0000), O at (0.0000, 0.2526, 0.5000) and O at (0.2500, 0.2500, 0.0000).

The energy above the most stable polymorph in this dataset comes out at 0.011 eV/atom. For the formation enthalpy at 0 K, the calculation gives -20.7 eV per formula unit. The value obtained for the size of the total moment is 0.0 μB per cell.

The following is a DFT calculation (GGA-PBE) of an optimized crystal structure of Nd2CuTe2S2O14.

The space group is P-1 (No. 2) and the conventional cell measures 5.2822, 8.1470 and 8.4025 Å, with angles of 61.98, 74.24 and 85.60 degrees. The asymmetric unit holds Nd at (0.0744, 0.2498, 0.0171), Cu at (0.0000, 0.0000, 0.5000), Te at (0.4886, 0.7336, 0.6492), S at (0.2487, 0.7456, 0.2562), O at (0.1326, 0.7488, 0.4344), O at (0.1410, 0.5870, 0.2479), O at (0.1771, 0.9169, 0.0975), O at (0.2514, 0.9271, 0.6522), O at (0.2607, 0.5648, 0.8837), O at (0.2707, 0.1854, 0.2644) and O at (0.4608, 0.2610, 0.7778).

For the formation enthalpy at 0 K, the calculation gives -47.6 eV per formula unit.